[1]
# MgIn2S4

MgIn2S4 after structural relaxation (PBE, the Materials Project database).

* space-group type: Pca2_1 (29)
* DFT total energy: -4.06 eV per atom
* total moment: 0.0 μB/f.u.
* energy of formation from the pure elements: -0.9679 eV/atom
* calculated density: 4.337 Mg/m³

POSCAR file:
```
MgIn2S4
1.0
12.406 0.000 0.000
0.000 7.436 0.000
0.000 0.000 12.692
Mg S In
8 32 16
Cartesian
7.577 4.630 8.831
4.621 6.538 10.379
10.824 0.898 10.379
1.582 6.538 4.033
1.374 2.806 8.831
11.031 4.630 2.485
4.829 2.806 2.485
7.785 0.898 4.033
0.349 2.868 1.878
5.854 2.868 8.224
2.883 0.955 9.871
8.843 0.914 6.451
11.897 0.907 8.047
8.928 4.632 6.566
5.694 6.529 8.047
9.483 2.747 3.532
9.522 6.480 3.524
2.923 4.689 9.878
5.982 6.547 4.726
6.464 4.689 11.207
12.057 4.568 8.224
12.145 4.689 4.861
12.185 0.889 4.726
3.319 0.955 3.524
3.280 4.689 3.532
5.942 2.747 4.861
9.125 2.747 9.878
6.423 0.889 11.072
3.563 6.522 0.105
9.086 6.480 9.871
9.766 0.914 0.105
0.261 2.747 11.207
0.509 6.529 1.701
6.552 4.568 1.878
0.221 6.547 11.072
2.640 6.522 6.451
2.725 2.804 6.566
3.478 2.804 0.220
6.712 0.907 1.701
9.680 4.632 0.220
1.744 0.915 12.478
10.639 2.755 5.996
7.947 6.521 12.478
7.497 0.879 8.668
11.111 0.879 2.321
1.565 2.827 4.140
1.294 6.557 8.668
1.766 4.681 12.342
4.638 2.827 10.486
10.662 6.521 6.132
4.909 6.557 2.321
10.841 4.609 10.486
4.459 0.915 6.132
7.969 2.755 12.342
7.767 4.609 4.140
4.436 4.681 5.996
```


[2]
# MgTiInS4

MgTiInS4 after structural relaxation (PBE, the Materials Project database).

* space-group type: C2/c (15)
* DFT total energy: -5.15 eV per atom
* total moment: 1.0 μB/f.u.
* energy of formation from the pure elements: -1.3271 eV/atom
* calculated density: 3.452 Mg/m³

POSCAR file:
```
MgTiInS4
1.0
1.435 7.027 -2.581
-4.142 5.858 2.404
2.850 5.260 4.638
S Mg Ti In
8 2 2 2
Cartesian
1.472 7.089 3.231
-1.939 7.382 2.141
0.714 7.892 -0.098
-1.330 11.059 1.229
0.078 13.436 3.386
-0.570 10.251 4.557
0.065 4.709 1.075
2.081 10.763 2.320
0.128 15.872 3.889
0.015 2.275 0.571
1.496 11.703 4.549
-1.999 12.002 3.431
0.072 9.074 2.232
0.791 12.586 0.941
```


[3]
# Mg2TiIn3S8

Mg2TiIn3S8 after structural relaxation (PBE, the Materials Project database).

* space-group type: Cm (8)
* DFT total energy: -4.66 eV per atom
* total moment: 1.0 μB/f.u.
* energy of formation from the pure elements: -1.1973 eV/atom
* calculated density: 3.696 Mg/m³

POSCAR file:
```
Mg2TiIn3S8
1.0
-5.360 5.137 1.839
-5.464 1.774 -4.973
-7.202 -2.260 1.232
S In Mg Ti
8 3 2 1
Cartesian
-10.898 1.096 -2.364
-10.051 4.494 -2.083
-7.975 0.157 0.182
-13.361 3.456 -1.519
-10.820 2.620 0.917
-4.667 1.195 -0.381
-7.126 3.556 0.461
-7.208 2.032 -2.822
-5.411 3.453 -1.568
-9.012 2.325 -0.949
-6.333 -0.243 -1.871
-15.774 4.069 -1.674
-2.254 0.582 -0.231
-11.747 3.213 -3.435
```


[4]
# MgVInS4

MgVInS4 after structural relaxation (PBE, the Materials Project database).

* space-group type: Imma (74)
* DFT total energy: -5.15 eV per atom
* total moment: 2.0 μB/f.u.
* energy of formation from the pure elements: -1.1558 eV/atom
* calculated density: 3.577 Mg/m³

POSCAR file:
```
MgVInS4
1.0
6.487 0.002 3.746
2.077 6.100 3.897
-0.023 0.170 7.531
S Mg V In
8 2 2 2
Cartesian
5.266 1.822 9.607
6.305 4.754 7.813
3.276 4.450 5.567
2.237 1.518 7.362
6.279 4.676 11.259
5.211 1.599 5.616
3.330 4.673 9.558
2.263 1.596 3.915
7.478 5.483 13.272
1.064 0.789 1.902
4.260 3.221 11.353
5.309 6.186 9.536
4.271 3.136 7.587
1.027 3.135 5.714
```


[5]
# MgInWS4

MgInWS4 after structural relaxation (PBE, the Materials Project database).

* space-group type: Imma (74)
* DFT total energy: -5.42 eV per atom
* total moment: 2.9 μB/f.u.
* energy of formation from the pure elements: -0.8728 eV/atom
* calculated density: 4.895 Mg/m³

POSCAR file:
```
MgInWS4
1.0
6.536 0.001 3.773
2.173 6.185 3.786
-0.014 0.006 7.569
Mg In S W
2 2 8 2
Cartesian
7.602 5.426 13.246
1.092 0.767 1.882
4.347 3.097 7.563
7.615 3.097 9.451
3.322 4.488 5.567
5.372 1.705 9.561
3.463 4.627 9.554
6.435 4.708 7.721
2.361 1.565 3.917
2.260 1.485 7.406
5.232 1.565 5.574
6.334 4.628 11.211
4.340 3.099 11.348
5.434 6.188 9.456
```


[6]
# MgSc2In

MgSc2In after structural relaxation (PBE, the Materials Project database).

* space-group type: Fm-3m (225)
* DFT total energy: -4.55 eV per atom
* energy of formation from the pure elements: -0.2927 eV/atom
* calculated density: 4.213 Mg/m³

POSCAR file:
```
MgSc2In
1.0
1.780 -4.583 1.085
1.673 -1.018 4.639
-2.623 -3.073 3.005
Sc In Mg
2 1 1
Cartesian
0.207 -2.169 2.182
0.622 -6.506 6.547
0.415 -4.337 4.364
0.000 0.000 0.000
```


Question: Which value of energy of formation from the pure elements does entry 3 give?
Answer: -1.1973 eV/atom


Question: What is the energy of formation from the pure elements in the first record?
Answer: -0.9679 eV/atom


Question: The lowest calculated density belongs to which entry?
Answer: MgTiInS4


Question: Which formula does entry 5 have?
Answer: MgInWS4